(1)
Compound: ErB6
Source: Materials Project
Functional: PBE
Structure: optimized geometry

a = 4.0865 Å, b = 4.0865 Å, c = 4.0865 Å
α = 90.00°, β = 90.00°, γ = 90.00°
Sites, in units of the cell vectors:
B1 0.8013 0.5000 0.5000
B2 0.1987 0.5000 0.5000
B3 0.5000 0.8013 0.5000
B4 0.5000 0.1987 0.5000
B5 0.5000 0.5000 0.8013
Er1 0.0000 0.0000 0.0000
B6 0.5000 0.5000 0.1987

Values from the calculation:
For the energy relative to the elements, the calculation gives -0.366 eV/atom.

---

(2)
Compound: BaSrI4
Source: Materials Project
Functional: PBE
Structure: optimized geometry

a = 8.2187 Å, b = 8.3914 Å, c = 16.7195 Å
α = 90.00°, β = 90.00°, γ = 90.00°
Sites, in units of the cell vectors:
I1 0.5838 0.5255 0.1162
I2 0.5758 0.5565 0.8581
Sr1 0.8151 0.6956 0.2540
I3 0.0758 0.0565 0.6419
I4 0.5409 0.4740 0.6086
Sr2 0.3150 0.1956 0.2460
Ba1 0.8009 0.2391 0.4940
Ba2 0.8009 0.2609 0.9940
I5 0.0838 0.0255 0.3838
I6 0.5838 0.9745 0.6162
Sr3 0.8151 0.8044 0.7540
I7 0.5758 0.9435 0.3581
Ba3 0.3009 0.7609 0.5060
I8 0.5462 0.4437 0.3556
I9 0.0758 0.4435 0.1419
Sr4 0.3150 0.3044 0.7460
Ba4 0.3009 0.7391 0.0060
I10 0.0462 0.5563 0.6444
I11 0.0838 0.4745 0.8838
I12 0.0462 0.9437 0.1444
I13 0.0409 0.9740 0.8914
I14 0.0409 0.5260 0.3914
I15 0.5462 0.0563 0.8556
I16 0.5409 0.0260 0.1086

Values from the calculation:
The spin magnetization comes out at 0.00 Bohr magnetons per cell. For the energy relative to the elements, the calculation gives -1.970 eV/atom.

---

(3)
Compound: MgAl2P3NO12
Source: Materials Project
Functional: PBE
Structure: optimized geometry

a = 9.3363 Å, b = 9.3363 Å, c = 9.2007 Å
α = 90.00°, β = 90.00°, γ = 90.96°
Sites, in units of the cell vectors:
O1 0.8509 0.9836 0.8881
O2 0.8695 0.6655 0.2500
P1 0.0068 0.7536 0.2500
O3 0.4839 0.6446 0.9020
O4 0.0164 0.1491 0.1119
P2 0.0081 0.2439 0.2500
O5 0.1517 0.9835 0.8868
O6 0.1517 0.9835 0.6132
O7 0.1379 0.6557 0.2500
O8 0.4909 0.3736 0.9115
O9 0.8723 0.3297 0.2500
Mg1 0.5049 0.2443 0.7500
O10 0.3345 0.1305 0.7500
Al1 0.4962 0.7560 0.7500
O11 0.6264 0.5091 0.4115
O12 0.3554 0.5161 0.0980
O13 0.3554 0.5161 0.4020
O14 0.6555 0.8581 0.7500
Mg2 0.7557 0.4951 0.2500
Al2 0.0030 0.9970 0.5000
P3 0.4891 0.5109 0.0000
O15 0.1419 0.3445 0.2500
P4 0.7561 0.9919 0.7500
O16 0.3443 0.8621 0.7500
O17 0.0165 0.8483 0.1132
Al3 0.2440 0.5038 0.2500
O18 0.4909 0.3736 0.5885
O19 0.4839 0.6446 0.5980
Al4 0.0030 0.9970 0.0000
O20 0.8509 0.9836 0.6119
O21 0.6264 0.5091 0.0885
N1 0.5000 0.0001 0.2500
P5 0.2464 0.9932 0.7500
N2 0.9999 0.5000 0.7500
O22 0.0164 0.1491 0.3881
O23 0.0165 0.8483 0.3868
O24 0.6703 0.1277 0.7500
P6 0.4891 0.5109 0.5000

Values from the calculation:
The spin magnetization comes out at 5.31 Bohr magnetons per cell. For the energy relative to the elements, the calculation gives -2.500 eV/atom.

---

(4)
Compound: SiO2
Source: Materials Project
Functional: PBE
Structure: optimized geometry

a = 8.6458 Å, b = 8.6458 Å, c = 8.6458 Å
α = 110.30°, β = 110.30°, γ = 107.83°
Sites, in units of the cell vectors:
O1 0.6010 0.2854 0.3157
O2 0.3750 0.9217 0.0467
Si1 0.5913 0.4087 0.5000
Si2 0.5913 0.0913 0.1825
O3 0.8750 0.3283 0.9533
Si3 0.8413 0.8413 0.6825
Si4 0.9087 0.4087 0.8175
O4 0.0783 0.1250 0.4533
O5 0.6717 0.1250 0.0467
Si5 0.1587 0.1587 0.3175
O6 0.8750 0.9217 0.5467
O7 0.7146 0.3990 0.6843
O8 0.6717 0.6250 0.5467
O9 0.0783 0.6250 0.9533
O10 0.7146 0.0303 0.3157
O11 0.3750 0.3283 0.4533
O12 0.0354 0.2197 0.1843
Si6 0.1587 0.8413 0.0000
Si7 0.9087 0.0913 0.5000
O13 0.7803 0.9646 0.8157
O14 0.9697 0.2854 0.6843
O15 0.1490 0.9646 0.1843
O16 0.0354 0.8510 0.8157
Si8 0.8413 0.1587 0.0000

Values from the calculation:
For the energy relative to the elements, the calculation gives -3.256 eV/atom.

---

(5)
Compound: EuAs2Pt2
Source: Materials Project
Functional: PBE
Structure: optimized geometry

a = 4.5051 Å, b = 4.5051 Å, c = 9.9956 Å
α = 90.00°, β = 90.00°, γ = 90.00°
Sites, in units of the cell vectors:
Pt1 0.0000 0.0000 0.0000
As1 0.0000 0.0000 0.5000
As2 0.5000 0.5000 0.5000
Pt2 0.0000 0.5000 0.6192
Pt3 0.5000 0.0000 0.3808
Eu1 0.5000 0.0000 0.7477
Eu2 0.0000 0.5000 0.2523
As3 0.0000 0.5000 0.8685
As4 0.5000 0.0000 0.1315
Pt4 0.5000 0.5000 0.0000

Values from the calculation:
The spin magnetization comes out at 13.59 Bohr magnetons per cell. For the energy relative to the elements, the calculation gives -0.800 eV/atom.

---

(6)
Compound: LaCuGe
Source: Materials Project
Functional: PBE
Structure: optimized geometry

a = 4.2692 Å, b = 4.2692 Å, c = 4.2160 Å
α = 90.00°, β = 90.00°, γ = 120.00°
Sites, in units of the cell vectors:
Cu1 0.6667 0.3333 0.5000
La1 0.3333 0.6667 0.0000
Ge1 0.0000 0.0000 0.5000

Values from the calculation:
For the energy relative to the elements, the calculation gives -0.643 eV/atom.

---

(7)
Compound: Nd2Co3Ge5
Source: Materials Project
Functional: PBE
Structure: optimized geometry

a = 8.2316 Å, b = 8.2316 Å, c = 8.2316 Å
α = 138.01°, β = 106.87°, γ = 88.09°
Sites, in units of the cell vectors:
Nd1 0.3703 0.1344 0.2359
Ge1 0.5611 0.4027 0.1584
Ge2 0.0000 0.7500 0.7500
Co1 0.9705 0.8628 0.1077
Co2 0.0295 0.1372 0.8923
Nd2 0.6297 0.8656 0.7641
Ge3 0.7320 0.4820 0.7500
Ge4 0.4389 0.5973 0.8416
Co3 0.7551 0.3628 0.3923
Ge5 0.2680 0.5180 0.2500
Ge6 0.7557 0.0973 0.6584
Co4 0.5000 0.7500 0.2500
Co5 0.5000 0.2500 0.7500
Ge7 0.7320 0.9820 0.2500
Nd3 0.1014 0.3656 0.7359
Ge8 0.2443 0.9027 0.3416
Ge9 0.0000 0.2500 0.2500
Ge10 0.2680 0.0180 0.7500
Nd4 0.8986 0.6344 0.2641
Co6 0.2449 0.6372 0.6077

Values from the calculation:
Its distance to the lowest polymorph of the same formula is 2.2 meV/atom. The spin magnetization comes out at 0.02 Bohr magnetons per cell. For the energy relative to the elements, the calculation gives -0.580 eV/atom.

---

(8)
Compound: ZnC4S4N2O12
Source: Materials Project
Functional: PBE
Structure: optimized geometry

a = 9.6025 Å, b = 7.8060 Å, c = 9.0652 Å
α = 55.25°, β = 74.29°, γ = 86.31°
Sites, in units of the cell vectors:
S1 0.4952 0.1337 0.7635
O1 0.4394 0.8372 0.4300
O2 0.9149 0.1592 0.6647
O3 0.5606 0.1628 0.5700
O4 0.3528 0.7065 0.8288
Zn1 0.5000 0.0000 0.5000
S2 0.2094 0.5908 0.8959
O5 0.2620 0.1111 0.5294
O6 0.7380 0.8889 0.4706
O7 0.0851 0.8408 0.3353
O8 0.2274 0.2907 0.4325
O9 0.6472 0.2935 0.1712
O10 0.8251 0.6030 0.9172
C1 0.8931 0.1502 0.7996
S3 0.7906 0.4092 0.1041
C2 0.7350 0.6113 0.2641
O11 0.7726 0.7093 0.5675
S4 0.5048 0.8663 0.2365
N1 0.3633 0.2878 0.7352
C3 0.1069 0.8498 0.2004
N2 0.6367 0.7122 0.2648
O12 0.1749 0.3970 0.0828
C4 0.2650 0.3887 0.7359

Values from the calculation:
The spin magnetization comes out at 4.00 Bohr magnetons per cell. For the energy relative to the elements, the calculation gives -0.303 eV/atom.

---

(9)
Compound: AlPO4
Source: Materials Project
Functional: PBE
Structure: optimized geometry

a = 18.9077 Å, b = 18.9077 Å, c = 8.6946 Å
α = 90.00°, β = 90.00°, γ = 120.00°
Sites, in units of the cell vectors:
O1 0.5089 0.7534 0.7497
Al1 0.1703 0.5090 0.6716
Al2 0.4910 0.6613 0.6716
O2 0.5706 0.9234 0.2406
Al3 0.4910 0.8297 0.1716
O3 0.7534 0.2445 0.2497
O4 0.3348 0.5079 0.9721
O5 0.4911 0.2445 0.7497
O6 0.4294 0.0766 0.7406
O7 0.4216 0.6045 0.2223
O8 0.0000 0.4149 0.9854
P1 0.4995 0.6735 0.2970
Al4 0.5090 0.3387 0.1716
Al5 0.3387 0.5090 0.1716
O9 0.5079 0.1731 0.4721
O10 0.7534 0.5089 0.7497
Al6 0.0000 0.5873 0.6853
O11 0.6706 0.5762 0.2439
O12 0.4911 0.2466 0.2497
O13 0.9056 0.5762 0.7439
O14 0.3294 0.4238 0.7439
O15 0.2466 0.4911 0.2497
P2 0.5747 0.5747 0.8108
P3 0.5005 0.3265 0.7970
O16 0.4238 0.0944 0.2439
O17 0.9056 0.3294 0.2439
O18 0.6706 0.0944 0.7439
P4 0.4253 0.0000 0.8108
P5 0.4995 0.8261 0.7970
O19 0.6652 0.4921 0.4721
Al7 0.6613 0.1703 0.1716
O20 0.2445 0.4911 0.7497
P6 0.0000 0.5747 0.3108
O21 0.7555 0.5089 0.2497
O22 0.3294 0.9056 0.2439
O23 0.5089 0.7555 0.2497
P7 0.8261 0.4995 0.7970
P8 0.1739 0.6735 0.7970
O24 0.1829 0.6045 0.7223
O25 0.0766 0.4294 0.7406
P9 0.8261 0.3265 0.2970
O26 0.4149 0.4149 0.4854
O27 0.0000 0.5851 0.4854
Al8 0.8297 0.4910 0.1716
O28 0.5784 0.3955 0.7223
O29 0.5851 0.5851 0.9854
Al9 0.4127 0.4127 0.6853
P10 0.1739 0.5005 0.2970
O30 0.0944 0.4238 0.2439
O31 0.8269 0.3348 0.4721
P11 0.6735 0.1739 0.7970
P12 0.0000 0.4253 0.8108
O32 0.3955 0.8171 0.2223
O33 0.2445 0.7534 0.2497
O34 0.4238 0.3294 0.7439
O35 0.6472 0.0766 0.2406
O36 0.8171 0.4216 0.7223
O37 0.5762 0.9056 0.7439
O38 0.5048 0.5048 0.2763
P13 0.3265 0.8261 0.2970
P14 0.5005 0.1739 0.2970
Al10 0.0000 0.4127 0.1853
O39 0.9234 0.5706 0.2406
O40 0.8171 0.3955 0.2223
O41 0.3955 0.5784 0.7223
O42 0.0000 0.5048 0.7763
O43 0.0000 0.4952 0.2763
O44 0.3528 0.4294 0.2406
O45 0.9234 0.3528 0.7406
P15 0.6735 0.4995 0.2970
O46 0.3348 0.8269 0.4721
O47 0.4921 0.8269 0.9721
O48 0.8269 0.4921 0.9721
O49 0.4149 0.0000 0.9854
Al11 0.5873 0.0000 0.6853
Al12 0.5873 0.5873 0.1853
O50 0.4921 0.6652 0.4721
O51 0.7555 0.2466 0.7497
Al13 0.3387 0.8297 0.6716
Al14 0.1703 0.6613 0.1716
O52 0.4294 0.3528 0.2406
O53 0.5762 0.6706 0.2439
O54 0.4216 0.8171 0.7223
P16 0.3265 0.5005 0.7970
O55 0.3528 0.9234 0.7406
O56 0.6045 0.4216 0.2223
O57 0.2466 0.7555 0.7497
O58 0.5851 0.0000 0.4854
O59 0.5048 0.0000 0.7763
O60 0.1731 0.5079 0.4721
O61 0.5784 0.1829 0.2223
Al15 0.4127 0.0000 0.1853
O62 0.6045 0.1829 0.7223
O63 0.5706 0.6472 0.7406
O64 0.6652 0.1731 0.9721
P17 0.5747 0.0000 0.3108
P18 0.4253 0.4253 0.3108
O65 0.0766 0.6472 0.2406
O66 0.6472 0.5706 0.7406
Al16 0.6613 0.4910 0.6716
O67 0.4952 0.0000 0.2763
O68 0.1731 0.6652 0.9721
O69 0.0944 0.6706 0.7439
Al17 0.8297 0.3387 0.6716
O70 0.5079 0.3348 0.9721
O71 0.1829 0.5784 0.2223
O72 0.4952 0.4952 0.7763
Al18 0.5090 0.1703 0.6716

Values from the calculation:
The spin magnetization comes out at 0.04 Bohr magnetons per cell. For the energy relative to the elements, the calculation gives -3.091 eV/atom.

---

(10)
Compound: U2C3
Source: Materials Project
Functional: PBE
Structure: optimized geometry

a = 6.9718 Å, b = 6.9718 Å, c = 6.9718 Å
α = 109.47°, β = 109.47°, γ = 109.47°
Sites, in units of the cell vectors:
U1 0.9017 0.5000 0.0000
U2 0.4017 0.5000 0.0000
C1 0.4642 0.2500 0.7142
U3 0.0983 0.0983 0.0983
C2 0.2500 0.5358 0.2858
C3 0.9642 0.2142 0.7500
C4 0.2858 0.2500 0.5358
U4 0.5983 0.5983 0.5983
C5 0.7500 0.7858 0.0358
U5 0.5000 0.0000 0.4017
C6 0.2500 0.7142 0.4642
U6 0.0000 0.4017 0.5000
C7 0.5358 0.2858 0.2500
C8 0.7858 0.0358 0.7500
U7 0.5000 0.0000 0.9017
U8 0.0000 0.9017 0.5000
C9 0.7142 0.4642 0.2500
C10 0.0358 0.7500 0.7858
C11 0.7500 0.9642 0.2142
C12 0.2142 0.7500 0.9642

Values from the calculation:
For the energy relative to the elements, the calculation gives -0.124 eV/atom.

---

(11)
Compound: Ba20As13
Source: Materials Project
Functional: PBE
Structure: optimized geometry

a = 8.7497 Å, b = 8.7497 Å, c = 43.8237 Å
α = 109.36°, β = 109.36°, γ = 109.63°
Sites, in units of the cell vectors:
As1 0.2469 0.6280 0.8728
As2 0.6164 0.3785 0.4534
As3 0.8495 0.1116 0.3466
Ba1 0.5154 0.9982 0.7703
As4 0.3827 0.2637 0.9272
As5 0.7443 0.8622 0.6225
Ba2 0.4982 0.0154 0.2703
As6 0.1254 0.7485 0.5756
Ba3 0.6324 0.6212 0.9217
Ba4 0.9885 0.8690 0.6970
As7 0.1310 0.7520 0.9769
Ba5 0.5238 0.0126 0.8783
As8 0.7467 0.8677 0.8231
As9 0.1280 0.7469 0.3728
Ba6 0.4922 0.0010 0.0764
Ba7 0.6211 0.6334 0.1241
Ba8 0.9958 0.3509 0.3014
Ba9 0.3623 0.5180 0.6058
Ba10 0.3736 0.4840 0.7995
Ba11 0.5099 0.9827 0.4700
Ba12 0.0062 0.3848 0.9011
Ba13 0.3794 0.5009 0.3989
Ba14 0.9887 0.8438 0.4986
Ba15 0.1334 0.1211 0.6241
As10 0.3677 0.2467 0.3231
Ba16 0.8509 0.4958 0.8014
As11 0.8803 0.1274 0.5489
Ba17 0.0037 0.3842 0.1030
Ba18 0.1189 0.1101 0.2236
As12 0.8827 0.1356 0.7511
Ba19 0.9840 0.8736 0.2995
Ba20 0.5007 0.0130 0.6759
Ba21 0.5010 0.9922 0.5764
As13 0.3622 0.2443 0.1225
Ba22 0.9888 0.3331 0.6942
Ba23 0.6101 0.6189 0.7236
Ba24 0.8331 0.4888 0.1942
Ba25 0.0180 0.8623 0.1058
Ba26 0.3690 0.4885 0.1970
As14 0.6356 0.3827 0.2511
As15 0.6309 0.3809 0.6500
As16 0.8785 0.1164 0.9534
Ba27 0.1637 0.1466 0.0297
Ba28 0.0009 0.8794 0.8989
Ba29 0.8761 0.4865 0.0005
As17 0.2485 0.6254 0.0756
Ba30 0.8842 0.5037 0.6030
As18 0.2497 0.6318 0.6775
Ba31 0.3438 0.4887 0.9986
As19 0.7637 0.8827 0.4272
Ba32 0.1328 0.1600 0.8300
As20 0.1318 0.7497 0.1775
As21 0.7475 0.8706 0.2244
Ba33 0.5126 0.0238 0.3783
Ba34 0.4827 0.0099 0.9700
Ba35 0.1212 0.1324 0.4217
Ba36 0.5130 0.0007 0.1759
Ba37 0.6600 0.6328 0.3300
As22 0.2520 0.6310 0.4769
Ba38 0.6466 0.6637 0.5297
As23 0.3706 0.2475 0.7244
Ba39 0.9865 0.3761 0.5005
As24 0.6274 0.3803 0.0489
As25 0.6116 0.3495 0.8466
Ba40 0.8848 0.5062 0.4011
As26 0.8809 0.1309 0.1500

Values from the calculation:
The spin magnetization comes out at 2.00 Bohr magnetons per cell. For the energy relative to the elements, the calculation gives -1.070 eV/atom.

---

(12)
Compound: FePRh
Source: Materials Project
Functional: PBE
Structure: optimized geometry

a = 6.1009 Å, b = 6.1009 Å, c = 3.6094 Å
α = 90.00°, β = 90.00°, γ = 120.00°
Sites, in units of the cell vectors:
Rh1 0.7313 0.7313 0.0000
P1 0.0000 0.0000 0.5000
P2 0.6667 0.3333 0.0000
Rh2 0.0000 0.2687 0.0000
Rh3 0.2687 0.0000 0.0000
P3 0.3333 0.6667 0.0000
Fe1 0.0000 0.6103 0.5000
Fe2 0.6103 0.0000 0.5000
Fe3 0.3897 0.3897 0.5000

Values from the calculation:
The spin magnetization comes out at 6.40 Bohr magnetons per cell. For the energy relative to the elements, the calculation gives -0.461 eV/atom.

---

- Look up the energy relative to the elements of the eighth one.
  -0.303 eV/atom